1.
Computed, not measured: an optimized crystal structure of Cs2PbO3 at the PBE level of DFT.

Cell lengths 7.008, 7.008, 6.201 Å; angles 90.00, 90.00, 68.85 degrees
Fractional positions:
Cs: 0.017 0.309 0.250
Cs: 0.309 0.017 0.750
Cs: 0.691 0.983 0.250
Cs: 0.983 0.691 0.750
Pb: 0.412 0.588 0.250
Pb: 0.588 0.412 0.750
O: 0.150 0.850 0.250
O: 0.375 0.375 0.000
O: 0.375 0.375 0.500
O: 0.625 0.625 0.000
O: 0.625 0.625 0.500
O: 0.850 0.150 0.750

## Properties
Calculated total energy = -55.1 eV per cell
Calculated density = 6.092 g/cm3

2.
Computed, not measured: an optimized crystal structure of Cs2PbO3 at the PBE level of DFT.

Cell lengths 7.020, 7.020, 6.212 Å; angles 90.00, 90.00, 68.50 degrees
Fractional positions:
Cs: 0.017 0.308 0.000
Cs: 0.308 0.017 0.500
Cs: 0.692 0.983 0.000
Cs: 0.983 0.692 0.500
Pb: 0.412 0.588 0.019
Pb: 0.588 0.412 0.519
O: 0.152 0.848 0.064
O: 0.361 0.391 0.762
O: 0.391 0.361 0.262
O: 0.609 0.639 0.762
O: 0.639 0.609 0.262
O: 0.848 0.152 0.564

## Properties
Calculated total energy = -55.1 eV per cell
Maximum piezoelectric response = 0.952 C/m2
Calculated density = 6.075 g/cm3

| no. | DFT formation energy (eV per formula unit) |
| --- | --- |
| 1 | -9.24 |
| 2 | -9.25 |